Record 1
Ba2Mg2Tl2Ni3O10 | PBE with a Hubbard U | optimized geometry

## Properties
energy of formation	-1.7940	eV per atom
symmetry	P1
size of the total moment	6.03	μB per cell
calculated density	6.44	Mg/m³

abc: 3.649 3.734 20.385
angles: 95.13 95.05 90.00
Element x y z (fractional)
1 O 0.955 0.415 0.801
2 O 0.783 0.773 0.544
3 O 0.590 0.020 0.041
4 O 0.242 0.226 0.455
5 O 0.128 0.554 0.125
6 O 0.048 0.488 0.959
7 O 0.657 0.087 0.198
8 O 0.497 0.950 0.874
9 O 0.718 0.659 0.338
10 O 0.366 0.341 0.660
11 Mg 0.114 0.036 0.088
12 Mg 0.018 0.968 0.917
13 Tl 0.327 0.283 0.559
14 Tl 0.772 0.716 0.439
15 Ba 0.896 0.872 0.715
16 Ba 0.197 0.133 0.287
17 Ni 0.476 0.436 0.844
18 Ni 0.571 0.503 0.005
19 Ni 0.645 0.568 0.160

Record 2
CuWO4 | PBE with a Hubbard U | optimized geometry

## Properties
energy of formation	-1.5801	eV per atom
distance to the lowest polymorph of the same formula	0.1208	eV/atom
symmetry	P-1
size of the total moment	2.00	μB per cell
calculated density	5.21	Mg/m³

abc: 5.473 6.429 6.721
angles: 118.21 107.29 85.86
Element x y z (fractional)
1 O 0.220 0.868 0.926
2 O 0.092 0.371 0.580
3 O 0.780 0.132 0.074
4 O 0.908 0.629 0.420
5 O 0.642 0.083 0.420
6 O 0.563 0.536 0.720
7 O 0.437 0.464 0.280
8 O 0.358 0.917 0.580
9 Cu 0.419 0.229 0.634
10 Cu 0.581 0.771 0.366
11 W 0.258 0.687 0.649
12 W 0.742 0.313 0.351

Record 3
Sr2YMgCrO6 | PBE with a Hubbard U | optimized geometry

## Properties
energy of formation	-2.8732	eV per atom
distance to the lowest polymorph of the same formula	0.0000	eV/atom
symmetry	P1
size of the total moment	3.00	μB per cell
calculated density	4.55	Mg/m³

abc: 6.675 5.835 5.839
angles: 59.73 59.46 59.49
Element x y z (fractional)
1 Mg 0.923 0.301 0.300
2 O 0.805 0.220 0.722
3 O 0.803 0.722 0.220
4 O 0.663 0.269 0.270
5 O 0.323 0.775 0.778
6 O 0.135 0.869 0.317
7 O 0.135 0.317 0.869
8 Sr 0.454 0.154 0.152
9 Sr 0.756 0.699 0.699
10 Y 0.380 0.543 0.542
11 Cr 0.008 0.997 0.997

Record 4
LiV3O4 | PBE with a Hubbard U | optimized geometry

## Properties
energy of formation	-2.2889	eV per atom
distance to the lowest polymorph of the same formula	0.0000	eV/atom
symmetry	C2/m
calculated density	4.59	Mg/m³

abc: 6.205 6.107 6.098
angles: 90.33 59.69 120.46
Element x y z (fractional)
1 O 0.000 0.242 0.742
2 O 0.987 0.236 0.264
3 O 0.515 0.766 0.734
4 O 0.485 0.234 0.266
5 O 0.013 0.764 0.736
6 O 0.000 0.758 0.258
7 O 0.500 0.242 0.742
8 O 0.500 0.758 0.258
9 Li 0.000 0.500 0.000
10 Li 0.500 0.500 0.000
11 V 0.500 0.500 0.500
12 V 0.000 0.000 0.500
13 V 0.000 0.500 0.500
14 V 0.500 0.000 0.000
15 V 0.000 0.000 0.000
16 V 0.500 0.000 0.500

Record 5
VHg4P2O9 | PBE with a Hubbard U | optimized geometry

## Properties
energy of formation	-1.8959	eV per atom
symmetry	Pnma
size of the total moment	4.00	μB per cell
calculated density	6.22	Mg/m³

abc: 7.206 9.237 16.989
angles: 90.00 90.00 90.00
Element x y z (fractional)
1 O 0.532 0.598 0.834
2 O 0.338 0.476 0.559
3 O 0.869 0.758 0.556
4 O 0.869 0.758 0.944
5 O 0.162 0.976 0.059
6 O 0.640 0.176 0.250
7 O 0.360 0.824 0.750
8 O 0.131 0.242 0.444
9 O 0.662 0.524 0.441
10 O 0.180 0.619 0.834
11 O 0.680 0.881 0.666
12 O 0.820 0.381 0.334
13 O 0.369 0.742 0.556
14 O 0.369 0.742 0.944
15 O 0.860 0.676 0.750
16 O 0.320 0.119 0.166
17 O 0.032 0.902 0.666
18 O 0.532 0.598 0.666
19 O 0.968 0.098 0.334
20 O 0.838 0.024 0.559
21 O 0.838 0.024 0.941
22 O 0.468 0.402 0.334
23 O 0.468 0.402 0.166
24 O 0.338 0.476 0.941
25 O 0.180 0.619 0.666
26 O 0.631 0.258 0.056
27 O 0.662 0.524 0.059
28 O 0.032 0.902 0.834
29 O 0.968 0.098 0.166
30 O 0.820 0.381 0.166
31 O 0.131 0.242 0.056
32 O 0.162 0.976 0.441
33 O 0.631 0.258 0.444
34 O 0.680 0.881 0.834
35 O 0.140 0.324 0.250
36 O 0.320 0.119 0.334
37 P 0.643 0.390 0.113
38 P 0.143 0.110 0.113
39 P 0.143 0.110 0.387
40 P 0.857 0.890 0.887
41 P 0.643 0.390 0.387
42 P 0.857 0.890 0.613
43 P 0.357 0.610 0.613
44 P 0.357 0.610 0.887
45 Hg 0.129 0.470 0.404
46 Hg 0.629 0.030 0.404
47 Hg 0.365 0.248 0.580
48 Hg 0.629 0.030 0.096
49 Hg 0.371 0.970 0.904
50 Hg 0.135 0.748 0.080
51 Hg 0.371 0.970 0.596
52 Hg 0.865 0.252 0.580
53 Hg 0.865 0.252 0.920
54 Hg 0.129 0.470 0.096
55 Hg 0.871 0.530 0.596
56 Hg 0.635 0.752 0.080
57 Hg 0.135 0.748 0.420
58 Hg 0.871 0.530 0.904
59 Hg 0.365 0.248 0.920
60 Hg 0.635 0.752 0.420
61 V 0.870 0.233 0.250
62 V 0.630 0.733 0.750
63 V 0.370 0.267 0.250
64 V 0.130 0.767 0.750

Record 6
LiFeW2O8 | PBE with a Hubbard U | optimized geometry

## Properties
energy of formation	-1.9788	eV per atom
symmetry	C2/c
size of the total moment	1.99	μB per cell
calculated density	6.78	Mg/m³

abc: 7.458 7.458 5.018
angles: 89.27 89.27 101.55
Element x y z (fractional)
1 Fe 0.329 0.671 0.250
2 Fe 0.671 0.329 0.750
3 Li 0.158 0.842 0.750
4 Li 0.842 0.158 0.250
5 O 0.697 0.577 0.923
6 O 0.928 0.316 0.891
7 O 0.806 0.904 0.056
8 O 0.072 0.684 0.109
9 O 0.316 0.928 0.391
10 O 0.684 0.072 0.609
11 O 0.799 0.438 0.413
12 O 0.303 0.423 0.077
13 O 0.904 0.806 0.556
14 O 0.423 0.303 0.577
15 O 0.577 0.697 0.423
16 O 0.194 0.096 0.944
17 O 0.438 0.799 0.913
18 O 0.562 0.201 0.087
19 O 0.201 0.562 0.587
20 O 0.096 0.194 0.444
21 W 0.161 0.337 0.756
22 W 0.337 0.161 0.256
23 W 0.839 0.663 0.244
24 W 0.663 0.839 0.744

Record 7
Li3Fe8B8O24 | PBE with a Hubbard U | optimized geometry

## Properties
energy of formation	-2.2444	eV per atom
distance to the lowest polymorph of the same formula	0.0110	eV/atom
symmetry	P1
size of the total moment	37.00	μB per cell
calculated density	3.20	Mg/m³

abc: 5.260 9.114 11.393
angles: 113.54 102.96 89.25
Element x y z (fractional)
1 O 0.617 0.683 0.629
2 O 0.633 0.012 0.918
3 O 0.751 0.351 0.670
4 O 0.245 0.832 0.673
5 O 0.953 0.584 0.428
6 O 0.344 0.999 0.083
7 O 0.125 0.715 0.829
8 O 0.993 0.903 0.146
9 O 0.543 0.909 0.572
10 O 0.850 0.478 0.076
11 O 0.074 0.436 0.583
12 O 0.254 0.672 0.335
13 O 0.502 0.568 0.852
14 O 0.883 0.820 0.383
15 O 0.475 0.395 0.132
16 O 0.412 0.803 0.180
17 O 0.643 0.216 0.836
18 O 0.430 0.068 0.417
19 O 0.765 0.176 0.353
20 O 0.893 0.294 0.180
21 O 0.350 0.291 0.357
22 O 0.128 0.523 0.923
23 O 0.105 0.187 0.607
24 O 0.033 0.093 0.886
25 B 0.730 0.392 0.128
26 B 0.242 0.900 0.135
27 B 0.976 0.319 0.623
28 B 0.771 0.106 0.879
29 B 0.028 0.694 0.380
30 B 0.472 0.809 0.624
31 B 0.514 0.180 0.376
32 B 0.256 0.602 0.870
33 Fe 0.977 0.660 0.628
34 Fe 0.271 0.940 0.883
35 Fe 0.771 0.436 0.886
36 Fe 0.007 0.355 0.375
37 Fe 0.246 0.569 0.126
38 Fe 0.518 0.843 0.372
39 Fe 0.483 0.151 0.634
40 Fe 0.744 0.050 0.123
41 Li 0.259 0.247 0.154
42 Li 0.496 0.509 0.666
43 Li 0.027 0.033 0.409

Record 8
Na2NiPCO7 | PBE with a Hubbard U | optimized geometry

## Properties
energy of formation	-2.0802	eV per atom
distance to the lowest polymorph of the same formula	0.0075	eV/atom
symmetry	P1
size of the total moment	4.00	μB per cell
calculated density	2.86	Mg/m³

abc: 8.366 8.400 8.874
angles: 91.21 90.54 104.39
Element x y z (fractional)
1 Ni 0.265 0.512 0.653
2 Ni 0.240 0.985 0.346
3 Ni 0.736 0.483 0.347
4 Ni 0.762 0.014 0.649
5 Na 0.138 0.626 0.256
6 Na 0.963 0.230 0.088
7 Na 0.365 0.877 0.749
8 Na 0.628 0.616 0.749
9 Na 0.852 0.883 0.269
10 Na 0.863 0.384 0.734
11 Na 0.133 0.115 0.734
12 Na 0.384 0.385 0.250
13 O 0.177 0.416 0.457
14 O 0.946 0.199 0.567
15 O 0.340 0.590 0.866
16 O 0.112 0.675 0.672
17 O 0.833 0.584 0.542
18 O 0.575 0.638 0.325
19 O 0.787 0.534 0.934
20 O 0.448 0.693 0.577
21 O 0.128 0.380 0.831
22 O 0.924 0.863 0.675
23 O 0.657 0.406 0.135
24 O 0.334 0.086 0.539
25 O 0.845 0.098 0.858
26 O 0.864 0.617 0.174
27 O 0.277 0.035 0.934
28 O 0.633 0.885 0.832
29 O 0.382 0.817 0.332
30 O 0.613 0.175 0.672
31 O 0.735 0.973 0.065
32 O 0.211 0.460 0.068
33 O 0.053 0.807 0.426
34 O 0.557 0.309 0.427
35 O 0.906 0.343 0.320
36 O 0.665 0.912 0.461
37 O 0.366 0.112 0.172
38 O 0.158 0.903 0.137
39 O 0.076 0.142 0.317
40 O 0.425 0.359 0.677
41 P 0.022 0.271 0.419
42 P 0.486 0.234 0.575
43 P 0.984 0.735 0.578
44 P 0.515 0.764 0.424
45 C 0.769 0.521 0.074
46 C 0.735 0.982 0.925
47 C 0.227 0.477 0.927
48 C 0.269 0.018 0.074

Record 9
LaFe5Ge3O15 | PBE with a Hubbard U | optimized geometry

## Properties
energy of formation	-2.0804	eV per atom
symmetry	Cmce
size of the total moment	100.01	μB per cell
calculated density	4.75	Mg/m³

abc: 12.576 12.576 7.765
angles: 90.00 90.00 93.59
Element x y z (fractional)
1 Fe 0.708 0.040 0.150
2 Fe 0.460 0.792 0.650
3 Fe 0.363 0.549 0.703
4 Fe 0.607 0.607 0.687
5 Fe 0.637 0.451 0.297
6 Fe 0.792 0.460 0.650
7 Fe 0.863 0.049 0.797
8 Fe 0.549 0.363 0.703
9 Fe 0.893 0.893 0.187
10 Fe 0.040 0.708 0.150
11 Fe 0.137 0.951 0.203
12 Fe 0.049 0.863 0.797
13 Fe 0.107 0.107 0.813
14 Fe 0.951 0.137 0.203
15 Fe 0.393 0.393 0.313
16 Fe 0.208 0.540 0.350
17 Fe 0.960 0.292 0.850
18 Fe 0.292 0.960 0.850
19 Fe 0.540 0.208 0.350
20 Fe 0.451 0.637 0.297
21 O 0.108 0.432 0.485
22 O 0.359 0.689 0.813
23 O 0.078 0.578 0.250
24 O 0.003 0.842 0.033
25 O 0.504 0.504 0.221
26 O 0.356 0.807 0.452
27 O 0.658 0.497 0.533
28 O 0.749 0.749 0.058
29 O 0.856 0.307 0.048
30 O 0.422 0.922 0.750
31 O 0.080 0.242 0.690
32 O 0.477 0.244 0.822
33 O 0.342 0.503 0.467
34 O 0.432 0.108 0.485
35 O 0.503 0.342 0.467
36 O 0.242 0.080 0.690
37 O 0.141 0.811 0.313
38 O 0.420 0.258 0.190
39 O 0.892 0.568 0.515
40 O 0.580 0.742 0.810
41 O 0.258 0.420 0.190
42 O 0.644 0.193 0.548
43 O 0.608 0.932 0.015
44 O 0.023 0.256 0.322
45 O 0.922 0.422 0.750
46 O 0.689 0.359 0.813
47 O 0.249 0.249 0.442
48 O 0.244 0.477 0.822
49 O 0.568 0.892 0.515
50 O 0.920 0.758 0.310
51 O 0.307 0.856 0.048
52 O 0.977 0.744 0.678
53 O 0.751 0.751 0.558
54 O 0.693 0.144 0.952
55 O 0.807 0.356 0.452
56 O 0.756 0.523 0.178
57 O 0.744 0.977 0.678
58 O 0.496 0.496 0.779
59 O 0.068 0.392 0.985
60 O 0.997 0.158 0.967
61 O 0.251 0.251 0.942
62 O 0.742 0.580 0.810
63 O 0.144 0.693 0.952
64 O 0.996 0.996 0.721
65 O 0.842 0.003 0.033
66 O 0.859 0.189 0.687
67 O 0.523 0.756 0.178
68 O 0.758 0.920 0.310
69 O 0.392 0.068 0.985
70 O 0.811 0.141 0.313
71 O 0.311 0.641 0.187
72 O 0.497 0.658 0.533
73 O 0.158 0.997 0.967
74 O 0.932 0.608 0.015
75 O 0.641 0.311 0.187
76 O 0.256 0.023 0.322
77 O 0.578 0.078 0.250
78 O 0.193 0.644 0.548
79 O 0.004 0.004 0.279
80 O 0.189 0.859 0.687
81 Ge 0.883 0.707 0.515
82 Ge 0.782 0.218 0.500
83 Ge 0.117 0.293 0.485
84 Ge 0.617 0.793 0.015
85 Ge 0.383 0.207 0.985
86 Ge 0.282 0.718 0.000
87 Ge 0.707 0.883 0.515
88 Ge 0.207 0.383 0.985
89 Ge 0.718 0.282 0.000
90 Ge 0.793 0.617 0.015
91 Ge 0.218 0.782 0.500
92 Ge 0.293 0.117 0.485
93 La 0.556 0.056 0.750
94 La 0.056 0.556 0.750
95 La 0.444 0.944 0.250
96 La 0.944 0.444 0.250

Number 1: energy with MP2020 corrections -112.670 eV/cell. Number 2: energy with MP2020 corrections -92.659 eV/cell. Number 3: energy with MP2020 corrections -82.392 eV/cell. Number 4: energy with MP2020 corrections -134.527 eV/cell. Number 5: energy with MP2020 corrections -383.965 eV/cell. Number 6: energy with MP2020 corrections -199.248 eV/cell. Number 7: energy with MP2020 corrections -342.184 eV/cell. Number 8: energy with MP2020 corrections -330.662 eV/cell. Number 9: energy with MP2020 corrections -741.219 eV/cell.